No. 1
Computed, not measured: a relaxed MgTiSnO3 crystal at the GGA-PBE level of DFT.

Output
The energy of formation is -1.8631 eV/atom.

Structure (CIF):
```
data_MgTiSnO3
_cell_length_a 3.9739
_cell_length_b 3.9739
_cell_length_c 5.4841
_cell_angle_alpha 90.00
_cell_angle_beta 90.00
_cell_angle_gamma 90.00
_symmetry_space_group_name_H-M 'P 4/m m m'
_symmetry_Int_Tables_number 123
_symmetry_space_group_name_Hall '-P 4 2'
loop_
_atom_site_label
_atom_site_fract_x
_atom_site_fract_y
_atom_site_fract_z
Mg1 0.0000 0.0000 0.0000
Ti1 0.5000 0.5000 0.0000
Sn1 0.0000 0.0000 0.5000
O1 0.0000 0.5000 0.0000
O2 0.5000 0.5000 0.5000
```


No. 2
Computed, not measured: a relaxed YMg14SnO16 crystal at the GGA-PBE level of DFT.

Output
The energy of formation is -2.7913 eV/atom. The energy relative to the lowest polymorph listed for this composition is 0.011 eV/atom.

Structure (CIF):
```
data_YMg14SnO16
_cell_length_a 4.4520
_cell_length_b 8.8238
_cell_length_c 8.9480
_cell_angle_alpha 90.00
_cell_angle_beta 90.00
_cell_angle_gamma 90.00
_symmetry_space_group_name_H-M 'P m m m'
_symmetry_Int_Tables_number 47
loop_
_symmetry_equiv_pos_as_xyz
'x,y,z'
'-x,-y,-z'
'-x,-y,z'
'x,y,-z'
'x,-y,-z'
'-x,y,z'
'-x,y,-z'
'x,-y,z'
loop_
_atom_site_label
_atom_site_fract_x
_atom_site_fract_y
_atom_site_fract_z
Y1 0.0000 0.0000 0.0000
Mg1 0.0000 0.2624 0.2539
Mg2 0.0000 0.5000 0.0000
Mg3 0.0000 0.5000 0.5000
Mg4 0.5000 0.0000 0.2554
Mg5 0.5000 0.2616 0.5000
Mg6 0.5000 0.2640 0.0000
Mg7 0.5000 0.5000 0.2515
Sn1 0.0000 0.0000 0.5000
O1 0.0000 0.0000 0.2414
O2 0.0000 0.2604 0.0000
O3 0.0000 0.2741 0.5000
O4 0.0000 0.5000 0.2465
O5 0.5000 0.0000 0.0000
O6 0.5000 0.0000 0.5000
O7 0.5000 0.2484 0.2513
O8 0.5000 0.5000 0.0000
O9 0.5000 0.5000 0.5000
```


No. 3
Computed, not measured: a relaxed YMg14SnO16 crystal at the GGA-PBE level of DFT.

Output
The energy of formation is -2.8022 eV/atom. The energy relative to the lowest polymorph listed for this composition is 0.000 eV/atom.

Structure (CIF):
```
data_YMg14SnO16
_cell_length_a 8.8425
_cell_length_b 8.8425
_cell_length_c 4.4511
_cell_angle_alpha 90.00
_cell_angle_beta 90.00
_cell_angle_gamma 90.00
_symmetry_space_group_name_H-M 'P 4/m m m'
_symmetry_Int_Tables_number 123
_symmetry_space_group_name_Hall '-P 4 2'
loop_
_atom_site_label
_atom_site_fract_x
_atom_site_fract_y
_atom_site_fract_z
Y1 0.0000 0.0000 0.0000
Mg1 0.0000 0.2624 0.5000
Mg2 0.0000 0.5000 0.0000
Mg3 0.2428 0.5000 0.5000
Mg4 0.2534 0.2534 0.0000
Sn1 0.5000 0.5000 0.0000
O1 0.0000 0.0000 0.5000
O2 0.0000 0.2556 0.0000
O3 0.0000 0.5000 0.5000
O4 0.2274 0.5000 0.0000
O5 0.2509 0.2509 0.5000
O6 0.5000 0.5000 0.5000
```


No. 4
Computed, not measured: a relaxed YMg6SnO8 crystal at the GGA-PBE level of DFT.

Output
The energy of formation is -2.5688 eV/atom. The energy relative to the lowest polymorph listed for this composition is 0.029 eV/atom.

Structure (CIF):
```
data_YMg6SnO8
_cell_length_a 4.5820
_cell_length_b 4.5820
_cell_length_c 9.2513
_cell_angle_alpha 90.00
_cell_angle_beta 90.00
_cell_angle_gamma 90.00
_symmetry_space_group_name_H-M 'P 4/m m m'
_symmetry_Int_Tables_number 123
_symmetry_space_group_name_Hall '-P 4 2'
loop_
_atom_site_label
_atom_site_fract_x
_atom_site_fract_y
_atom_site_fract_z
Y1 0.0000 0.0000 0.0000
Mg1 0.0000 0.5000 0.2577
Mg2 0.5000 0.5000 0.0000
Mg3 0.5000 0.5000 0.5000
Sn1 0.0000 0.0000 0.5000
O1 0.0000 0.0000 0.2395
O2 0.0000 0.5000 0.0000
O3 0.0000 0.5000 0.5000
O4 0.5000 0.5000 0.2625
```


No. 5
Computed, not measured: a relaxed YMg6SnO8 crystal at the GGA-PBE level of DFT.

Output
The energy of formation is -2.5975 eV/atom. The energy relative to the lowest polymorph listed for this composition is 0.000 eV/atom.

Structure (CIF):
```
data_YMg6SnO8
_cell_length_a 4.5810
_cell_length_b 4.5810
_cell_length_c 9.1845
_cell_angle_alpha 90.00
_cell_angle_beta 90.00
_cell_angle_gamma 90.00
_symmetry_space_group_name_H-M 'P 4/m m m'
_symmetry_Int_Tables_number 123
_symmetry_space_group_name_Hall '-P 4 2'
loop_
_atom_site_label
_atom_site_fract_x
_atom_site_fract_y
_atom_site_fract_z
Y1 0.0000 0.0000 0.0000
Mg1 0.0000 0.0000 0.5000
Mg2 0.0000 0.5000 0.2764
Mg3 0.5000 0.5000 0.5000
Sn1 0.5000 0.5000 0.0000
O1 0.0000 0.0000 0.2577
O2 0.0000 0.5000 0.0000
O3 0.0000 0.5000 0.5000
O4 0.5000 0.5000 0.2786
```


No. 6
Computed, not measured: a relaxed MgZn4Sn4O8 crystal at the GGA-PBE level of DFT.

Output
The energy of formation is -1.6349 eV/atom. The energy relative to the lowest polymorph listed for this composition is 0.000 eV/atom.

Structure (CIF):
```
data_MgZn4Sn4O8
_cell_length_a 3.2714
_cell_length_b 9.1354
_cell_length_c 10.3246
_cell_angle_alpha 83.36
_cell_angle_beta 86.74
_cell_angle_gamma 80.66
_symmetry_space_group_name_H-M 'P 1'
_symmetry_Int_Tables_number 1
loop_
_symmetry_equiv_pos_as_xyz
'x,y,z'
loop_
_atom_site_label
_atom_site_fract_x
_atom_site_fract_y
_atom_site_fract_z
Mg1 0.0000 0.0000 0.0000
Zn1 0.4381 0.1520 0.2285
Zn2 0.4617 0.1566 0.7589
Zn3 0.6177 0.7574 0.9402
Zn4 0.8146 0.3537 0.9761
Sn1 0.1129 0.9409 0.5377
Sn2 0.1391 0.5968 0.2013
Sn3 0.2706 0.5392 0.7064
Sn4 0.9424 0.3204 0.4719
O1 0.0581 0.1128 0.3742
O2 0.0877 0.7795 0.0529
O3 0.3393 0.3452 0.8576
O4 0.5214 0.9919 0.8985
O5 0.6969 0.5105 0.0975
O6 0.7120 0.6305 0.8019
O7 0.9099 0.1661 0.1095
O8 0.9879 0.1448 0.6432
```